CaB2H8 | PBE | optimized geometry

## Properties
**Polymorph energy (0 for the lowest one)**: 8 meV per atom
**SG**: Pbca
**Formation energy**: -0.472 eV per atom
**Spin magnetization**: 0.00 Bohr magnetons per cell

Lattice parameters (Å, degrees): 7.444 8.254 12.854 90.00 90.00 90.00
Atoms (fractional coordinates):
Ca 0.145 0.373 0.626
Ca 0.645 0.627 0.874
Ca 0.855 0.127 0.126
Ca 0.355 0.873 0.374
Ca 0.855 0.627 0.374
Ca 0.355 0.373 0.126
Ca 0.145 0.873 0.874
Ca 0.645 0.127 0.626
B 0.671 0.832 0.511
B 0.171 0.168 0.989
B 0.329 0.668 0.011
B 0.829 0.332 0.489
B 0.329 0.168 0.489
B 0.016 0.414 0.221
B 0.516 0.586 0.279
B 0.829 0.832 0.011
B 0.671 0.332 0.989
B 0.171 0.668 0.511
B 0.984 0.086 0.721
B 0.484 0.914 0.779
B 0.984 0.586 0.779
B 0.484 0.414 0.721
B 0.016 0.914 0.279
B 0.516 0.086 0.221
H 0.141 0.345 0.265
H 0.641 0.655 0.235
H 0.859 0.155 0.765
H 0.359 0.845 0.735
H 0.859 0.655 0.735
H 0.359 0.345 0.765
H 0.141 0.845 0.235
H 0.641 0.155 0.265
H 0.033 0.561 0.229
H 0.533 0.439 0.271
H 0.967 0.939 0.729
H 0.467 0.061 0.771
H 0.967 0.439 0.771
H 0.467 0.561 0.729
H 0.033 0.061 0.271
H 0.533 0.939 0.229
H 0.875 0.366 0.258
H 0.375 0.634 0.242
H 0.125 0.134 0.758
H 0.625 0.866 0.742
H 0.125 0.634 0.742
H 0.625 0.366 0.758
H 0.875 0.866 0.242
H 0.375 0.134 0.258
H 0.692 0.687 0.528
H 0.192 0.313 0.972
H 0.308 0.813 0.028
H 0.808 0.187 0.472
H 0.308 0.313 0.472
H 0.808 0.687 0.028
H 0.692 0.187 0.972
H 0.192 0.813 0.528
H 0.016 0.390 0.127
H 0.516 0.610 0.373
H 0.984 0.110 0.627
H 0.484 0.890 0.873
H 0.984 0.610 0.873
H 0.484 0.390 0.627
H 0.016 0.890 0.373
H 0.516 0.110 0.127
H 0.523 0.868 0.546
H 0.023 0.132 0.954
H 0.477 0.632 0.046
H 0.977 0.368 0.454
H 0.477 0.132 0.454
H 0.977 0.868 0.046
H 0.523 0.368 0.954
H 0.023 0.632 0.546
H 0.678 0.865 0.417
H 0.178 0.135 0.083
H 0.322 0.635 0.917
H 0.822 0.365 0.583
H 0.322 0.135 0.583
H 0.822 0.865 0.917
H 0.678 0.365 0.083
H 0.178 0.635 0.417
H 0.794 0.906 0.552
H 0.294 0.094 0.948
H 0.206 0.594 0.052
H 0.706 0.406 0.448
H 0.206 0.094 0.448
H 0.706 0.906 0.052
H 0.794 0.406 0.948
H 0.294 0.594 0.552

CaB2H8 | PBE | optimized geometry

## Properties
**Polymorph energy (0 for the lowest one)**: 20 meV per atom
**SG**: Pbca
**Formation energy**: -0.460 eV per atom
**Spin magnetization**: 0.00 Bohr magnetons per cell

Lattice parameters (Å, degrees): 13.468 8.561 7.501 90.00 90.00 90.00
Atoms (fractional coordinates):
Ca 0.122 0.376 0.153
Ca 0.622 0.124 0.847
Ca 0.878 0.876 0.347
Ca 0.378 0.624 0.653
Ca 0.878 0.624 0.847
Ca 0.378 0.876 0.153
Ca 0.122 0.124 0.653
Ca 0.622 0.376 0.347
B 0.714 0.416 0.039
B 0.214 0.084 0.961
B 0.286 0.916 0.461
B 0.786 0.584 0.539
B 0.286 0.584 0.961
B 0.786 0.916 0.039
B 0.714 0.084 0.539
B 0.214 0.416 0.461
B 0.999 0.843 0.665
B 0.499 0.657 0.335
B 0.001 0.343 0.835
B 0.501 0.157 0.165
B 0.001 0.157 0.335
B 0.501 0.343 0.665
B 0.999 0.657 0.165
B 0.499 0.843 0.835
H 0.757 0.323 0.136
H 0.257 0.177 0.864
H 0.243 0.823 0.364
H 0.743 0.677 0.636
H 0.243 0.677 0.864
H 0.743 0.823 0.136
H 0.757 0.177 0.636
H 0.257 0.323 0.364
H 0.758 0.434 0.900
H 0.258 0.066 0.100
H 0.242 0.934 0.600
H 0.742 0.566 0.400
H 0.242 0.566 0.100
H 0.742 0.934 0.900
H 0.758 0.066 0.400
H 0.258 0.434 0.600
H 0.700 0.539 0.117
H 0.200 0.961 0.883
H 0.300 0.039 0.383
H 0.800 0.461 0.617
H 0.300 0.461 0.883
H 0.800 0.039 0.117
H 0.700 0.961 0.617
H 0.200 0.539 0.383
H 0.630 0.367 0.002
H 0.130 0.133 0.998
H 0.370 0.867 0.498
H 0.870 0.633 0.502
H 0.370 0.633 0.998
H 0.870 0.867 0.002
H 0.630 0.133 0.502
H 0.130 0.367 0.498
H 0.020 0.708 0.701
H 0.520 0.792 0.299
H 0.980 0.208 0.799
H 0.480 0.292 0.201
H 0.980 0.292 0.299
H 0.480 0.208 0.701
H 0.020 0.792 0.201
H 0.520 0.708 0.799
H 0.908 0.866 0.662
H 0.408 0.634 0.338
H 0.092 0.366 0.838
H 0.592 0.134 0.162
H 0.092 0.134 0.338
H 0.592 0.366 0.662
H 0.908 0.634 0.162
H 0.408 0.866 0.838
H 0.036 0.868 0.519
H 0.536 0.632 0.481
H 0.964 0.368 0.981
H 0.464 0.132 0.019
H 0.964 0.132 0.481
H 0.464 0.368 0.519
H 0.036 0.632 0.019
H 0.536 0.868 0.981
H 0.031 0.927 0.783
H 0.531 0.573 0.217
H 0.969 0.427 0.717
H 0.469 0.073 0.283
H 0.969 0.073 0.217
H 0.469 0.427 0.783
H 0.031 0.573 0.283
H 0.531 0.927 0.717

Question: spin magnetization of number 1 (CaB2H8)?
Answer: 0.00 Bohr magnetons per cell